# 1
# Te5PbO11 (PBE, relaxed)
# Calculated density   6.03 g/cm3
# Energy of formation   -25.6 eV per formula unit
# Uncorrected energy   -5.41 eV per atom
data_Te5PbO11
_symmetry_space_group_name_H-M 'C 1 2/c 1'
_symmetry_Int_Tables_number 15
_symmetry_space_group_name_Hall '-C 2yc'
_cell_length_a 19.295
_cell_length_b 4.501
_cell_length_c 26.191
_cell_angle_alpha 90.00
_cell_angle_beta 98.26
_cell_angle_gamma 90.00
loop_
_atom_site_label
_atom_site_type_symbol
_atom_site_fract_x
_atom_site_fract_y
_atom_site_fract_z
Te1 Te 0.074 0.079 0.456
Te2 Te 0.091 0.262 0.823
Te3 Te 0.091 0.425 0.078
Te4 Te 0.092 0.248 0.215
Te5 Te 0.243 0.164 0.060
Pb1 Pb 0.247 0.343 0.683
O1 O 0.010 0.186 0.094
O2 O 0.038 0.265 0.982
O3 O 0.083 0.361 0.743
O4 O 0.088 0.138 0.296
O5 O 0.110 0.485 0.651
O6 O 0.116 0.069 0.898
O7 O 0.145 0.058 0.082
O8 O 0.188 0.319 0.830
O9 O 0.190 0.198 0.226
O10 O 0.191 0.129 0.990
O11 O 0.214 0.451 0.578

# 2
# TePbO3 (PBE, relaxed)
# Calculated density   6.78 g/cm3
# Energy of formation   -7.8 eV per formula unit
# Uncorrected energy   -5.48 eV per atom
data_TePbO3
_symmetry_space_group_name_H-M 'C 1 2/c 1'
_symmetry_Int_Tables_number 15
_symmetry_space_group_name_Hall '-C 2yc'
_cell_length_a 27.255
_cell_length_b 4.665
_cell_length_c 18.529
_cell_angle_alpha 90.00
_cell_angle_beta 107.30
_cell_angle_gamma 90.00
loop_
_atom_site_label
_atom_site_type_symbol
_atom_site_fract_x
_atom_site_fract_y
_atom_site_fract_z
Te1 Te 0.048 0.234 0.371
Te2 Te 0.070 0.255 0.708
Te3 Te 0.208 0.307 0.594
Pb1 Pb 0.065 0.222 0.046
Pb2 Pb 0.160 0.247 0.911
Pb3 Pb 0.184 0.206 0.235
O1 O 0.022 0.187 0.455
O2 O 0.056 0.363 0.871
O3 O 0.065 0.344 0.191
O4 O 0.095 0.176 0.624
O5 O 0.118 0.165 0.427
O6 O 0.137 0.232 0.781
O7 O 0.185 0.313 0.099
O8 O 0.221 0.129 0.397
O9 O 0.222 0.222 0.700

# 3
# TePbO3 (PBE, relaxed)
# Calculated density   7.08 g/cm3
# Energy of formation   -7.7 eV per formula unit
# Maximum piezoelectric response   0.9 C/m2
# Uncorrected energy   -5.48 eV per atom
data_TePbO3
_symmetry_space_group_name_H-M 'P 41'
_symmetry_Int_Tables_number 76
_symmetry_space_group_name_Hall 'P 4w'
_cell_length_a 5.431
_cell_length_b 5.431
_cell_length_c 12.177
_cell_angle_alpha 90.00
_cell_angle_beta 90.00
_cell_angle_gamma 90.00
loop_
_atom_site_label
_atom_site_type_symbol
_atom_site_fract_x
_atom_site_fract_y
_atom_site_fract_z
Te1 Te 0.245 0.750 0.000
Pb1 Pb 0.256 0.741 0.510
O1 O 0.020 0.625 0.105
O2 O 0.108 0.479 0.348
O3 O 0.380 0.436 0.962